DyPbAu: optimized geometry, r²SCAN.

The structure in CIF format:
```
data_DyPbAu
_cell_length_a 6.780
_cell_length_b 6.780
_cell_length_c 6.780
_cell_angle_alpha 90.00
_cell_angle_beta 90.00
_cell_angle_gamma 90.00
_space_group_name_H-M_alt 'F -4 3 m'
_space_group_IT_number 216
_space_group_name_Hall 'F -4 2 3'
loop_
_atom_site_label
_atom_site_type_symbol
_atom_site_fract_x
_atom_site_fract_y
_atom_site_fract_z
Dy1 Dy 0.000 0.000 0.000
Pb1 Pb 0.000 0.000 0.500
Au1 Au 0.250 0.250 0.750
```

For the calculated total energy, the calculation gives -47.1132 eV per atom.